The following is a PBE calculation of a geometry-optimized Nb4Co2C structure, from the Materials Project database.

Results
* calculated formation energy: -0.27 eV/atom
* total magnetic moment: 14.7 μB/cell
* crystal system: cubic

a = 11.6876 Å, b = 11.6876 Å, c = 11.6876 Å
α = 90.00°, β = 90.00°, γ = 90.00°
With the nearest neighbours (Å) after each atom.
Space group Fd-3m (No. 227, origin choice 2)
Unique sites:
Nb 0.0000 0.0000 0.0000 x16  6 Co 2.51
Nb 0.0623 0.3750 0.8750 x48  2 C 2.19
Co 0.0452 0.0452 0.2048 x32  3 Nb 2.51, 3 Co 2.64
C 0.0000 0.0000 0.5000 x16  6 Nb 2.19